# 1
DFT (GGA-PBE) results for a geometry-optimized Ce2SiGe structure.

Properties
Its crystal system is orthorhombic. Its formation energy is -0.676 eV/atom.

a = 3.9541 Å, b = 5.8916 Å, c = 8.2096 Å
α = 90.00°, β = 90.00°, γ = 90.00°
Space group Pmc2_1 (No. 26)
One atom of each set of equivalent atoms:
1 Ce 0.0000 0.1337 0.0000 (multiplicity 2)
2 Ce 0.5000 0.3626 0.6387 (multiplicity 2)
3 Si 0.5000 0.1199 0.2817 (multiplicity 2)
4 Ge 0.0000 0.3779 0.3555 (multiplicity 2)


# 2
DFT (GGA-PBE) results for a geometry-optimized NaLiTiAlP3O12 structure.

Properties
Its crystal system is monoclinic. The spin magnetization comes out at 0.0 μB per formula unit. Its formation energy is -2.959 eV/atom.

a = 14.8428 Å, b = 8.5269 Å, c = 8.7761 Å
α = 90.00°, β = 124.62°, γ = 90.00°
Space group C2 (No. 5)
One atom of each set of equivalent atoms:
1 Na 0.2434 0.0000 0.2527 (multiplicity 4)
2 Li 0.2010 0.3013 0.0021 (multiplicity 4)
3 Ti 0.1086 0.5041 0.3243 (multiplicity 4)
4 Al 0.1006 0.0018 0.8077 (multiplicity 4)
5 P 0.0000 0.2128 0.0000 (multiplicity 2)
6 P 0.0000 0.2856 0.5000 (multiplicity 2)
7 P 0.1415 0.8627 0.5045 (multiplicity 4)
8 P 0.1440 0.6495 0.0000 (multiplicity 4)
9 O 0.0392 0.9295 0.3312 (multiplicity 4)
10 O 0.0425 0.5757 0.8283 (multiplicity 4)
11 O 0.0716 0.1903 0.6792 (multiplicity 4)
12 O 0.0727 0.3161 0.1732 (multiplicity 4)
13 O 0.0809 0.3924 0.4887 (multiplicity 4)
14 O 0.0823 0.1155 0.9833 (multiplicity 4)
15 O 0.1442 0.6207 0.1726 (multiplicity 4)
16 O 0.1488 0.6822 0.4909 (multiplicity 4)
17 O 0.1518 0.8919 0.6865 (multiplicity 4)
18 O 0.1556 0.8282 0.9833 (multiplicity 4)
19 O 0.2403 0.9363 0.5135 (multiplicity 4)
20 O 0.2438 0.5717 0.0136 (multiplicity 4)


# 3
DFT (GGA-PBE) results for a geometry-optimized Rh structure.

Properties
Its crystal system is hexagonal. The spin magnetization comes out at 0.0 μB per formula unit. Its formation energy is 0.059 eV/atom.

a = 2.7310 Å, b = 2.7310 Å, c = 4.4285 Å
α = 90.00°, β = 90.00°, γ = 120.00°
Space group P6_3/mmc (No. 194)
One atom of each set of equivalent atoms:
1 Rh 0.3333 0.6667 0.2500 (multiplicity 2)


# 4
DFT (GGA-PBE) results for a geometry-optimized Pb3O structure.

Properties
Its crystal system is cubic. The spin magnetization comes out at 0.0 μB per formula unit. Its formation energy is 0.002 eV/atom.

a = 7.3571 Å, b = 7.3571 Å, c = 7.3571 Å
α = 90.00°, β = 90.00°, γ = 90.00°
Space group Fm-3m (No. 225)
One atom of each set of equivalent atoms:
1 Pb 0.0000 0.0000 0.0000 (multiplicity 4)
2 Pb 0.2500 0.2500 0.2500 (multiplicity 8)
3 O 0.0000 0.0000 0.5000 (multiplicity 4)


# 5
DFT (GGA-PBE) results for a geometry-optimized IrN2 structure.

Properties
Its crystal system is monoclinic. The spin magnetization comes out at 0.0 μB per formula unit. Its formation energy is 0.165 eV/atom.

a = 4.8791 Å, b = 4.9332 Å, c = 4.9175 Å
α = 90.00°, β = 107.94°, γ = 90.00°
Space group P2_1/c (No. 14)
One atom of each set of equivalent atoms:
1 Ir 0.2332 0.0003 0.2208 (multiplicity 4)
2 N 0.1857 0.0973 0.7994 (multiplicity 4)
3 N 0.3246 0.5864 0.1592 (multiplicity 4)


# 6
DFT (GGA-PBE) results for a geometry-optimized Tb2Ge6Pt structure.

Properties
Its crystal system is orthorhombic. The spin magnetization comes out at 0.0 μB per formula unit. Its formation energy is -0.544 eV/atom.

a = 4.1250 Å, b = 4.0965 Å, c = 22.0787 Å
α = 90.00°, β = 90.00°, γ = 90.00°
Space group Amm2 (No. 38)
One atom of each set of equivalent atoms:
1 Tb 0.0000 0.0000 0.0000 (multiplicity 2)
2 Tb 0.0000 0.0000 0.3387 (multiplicity 2)
3 Ge 0.0000 0.0000 0.6019 (multiplicity 2)
4 Ge 0.0000 0.0000 0.7156 (multiplicity 2)
5 Ge 0.5000 0.0000 0.1009 (multiplicity 2)
6 Ge 0.5000 0.0000 0.2148 (multiplicity 2)
7 Ge 0.5000 0.0000 0.4614 (multiplicity 2)
8 Ge 0.5000 0.0000 0.8913 (multiplicity 2)
9 Pt 0.5000 0.0000 0.7809 (multiplicity 2)


# 7
DFT (GGA-PBE) results for a geometry-optimized BaTb2DyO6 structure.

Properties
Its crystal system is orthorhombic. The spin magnetization comes out at 0.2 μB per formula unit. Its formation energy is -3.249 eV/atom.

a = 8.5398 Å, b = 8.6061 Å, c = 4.3722 Å
α = 90.00°, β = 90.00°, γ = 90.00°
Space group Cmmm (No. 65)
One atom of each set of equivalent atoms:
1 Ba 0.0000 0.0000 0.0000 (multiplicity 2)
2 Tb 0.2500 0.2500 0.5000 (multiplicity 4)
3 Dy 0.0000 0.5000 0.0000 (multiplicity 2)
4 O 0.0000 0.1782 0.5000 (multiplicity 4)
5 O 0.1488 0.5000 0.5000 (multiplicity 4)
6 O 0.2500 0.2500 0.0000 (multiplicity 4)


# 8
DFT (GGA-PBE) results for a geometry-optimized ThB2Pd2C structure.

Properties
Its crystal system is tetragonal. The spin magnetization comes out at 0.0 μB per formula unit. Its formation energy is -0.507 eV/atom.

a = 3.8568 Å, b = 3.8568 Å, c = 10.7785 Å
α = 90.00°, β = 90.00°, γ = 90.00°
Space group I4/mmm (No. 139)
One atom of each set of equivalent atoms:
1 Th 0.0000 0.0000 0.0000 (multiplicity 2)
2 B 0.0000 0.0000 0.3621 (multiplicity 4)
3 Pd 0.0000 0.5000 0.2500 (multiplicity 4)
4 C 0.0000 0.0000 0.5000 (multiplicity 2)


# 9
DFT (GGA-PBE) results for a geometry-optimized CeZn3Pd2 structure.

Properties
Its crystal system is hexagonal. Its formation energy is -0.573 eV/atom.

a = 5.3328 Å, b = 5.3328 Å, c = 4.3912 Å
α = 90.00°, β = 90.00°, γ = 120.00°
Space group P6/mmm (No. 191)
One atom of each set of equivalent atoms:
1 Ce 0.0000 0.0000 0.0000 (multiplicity 1)
2 Zn 0.0000 0.5000 0.5000 (multiplicity 3)
3 Pd 0.3333 0.6667 0.0000 (multiplicity 2)


# 10
DFT (GGA-PBE) results for a geometry-optimized HfMg14Nb structure.

Properties
Its crystal system is hexagonal. The spin magnetization comes out at 0.0 μB per formula unit. Its formation energy is 0.140 eV/atom.

a = 6.3902 Å, b = 6.3902 Å, c = 10.0004 Å
α = 90.00°, β = 90.00°, γ = 120.00°
Space group P-6m2 (No. 187)
One atom of each set of equivalent atoms:
1 Hf 0.0000 0.0000 0.0000 (multiplicity 1)
2 Mg 0.0011 0.5005 0.5000 (multiplicity 3)
3 Mg 0.0030 0.5015 0.0000 (multiplicity 3)
4 Mg 0.1620 0.3240 0.2535 (multiplicity 6)
5 Mg 0.6667 0.3333 0.2490 (multiplicity 2)
6 Nb 0.0000 0.0000 0.5000 (multiplicity 1)


# 11
DFT (GGA-PBE) results for a geometry-optimized Mg2FeMo3S8 structure.

Properties
Its crystal system is monoclinic. The spin magnetization comes out at 10.0 μB per formula unit. Its formation energy is -0.852 eV/atom.

a = 12.6356 Å, b = 7.3609 Å, c = 7.2930 Å
α = 90.00°, β = 124.96°, γ = 90.00°
Space group C2/m (No. 12)
One atom of each set of equivalent atoms:
1 Mg 0.1240 0.0000 0.3756 (multiplicity 4)
2 Fe 0.0000 0.5000 0.0000 (multiplicity 2)
3 Mo 0.0000 0.5000 0.5000 (multiplicity 2)
4 Mo 0.2500 0.2500 0.0000 (multiplicity 4)
5 S 0.0099 0.2746 0.7636 (multiplicity 8)
6 S 0.2355 0.5000 0.2153 (multiplicity 4)
7 S 0.2397 0.5000 0.7594 (multiplicity 4)


# 12
DFT (GGA-PBE) results for a geometry-optimized VCuP2S6 structure.

Properties
Its crystal system is triclinic. The spin magnetization comes out at 2.0 μB per formula unit. Its formation energy is -0.675 eV/atom.

a = 5.9937 Å, b = 6.0141 Å, c = 7.1658 Å
α = 82.58°, β = 73.97°, γ = 60.73°
Space group P1 (No. 1)
One atom of each set of equivalent atoms:
1 V 0.0000 0.0000 0.0000 (multiplicity 1)
2 Cu 0.2446 0.3175 0.2154 (multiplicity 1)
3 P 0.6018 0.6463 0.1681 (multiplicity 1)
4 P 0.7022 0.6524 0.8493 (multiplicity 1)
5 S 0.0370 0.3045 0.7711 (multiplicity 1)
6 S 0.2239 0.9534 0.2543 (multiplicity 1)
7 S 0.3867 0.6832 0.7743 (multiplicity 1)
8 S 0.6102 0.3027 0.2541 (multiplicity 1)
9 S 0.7625 0.9595 0.7840 (multiplicity 1)
10 S 0.8797 0.6943 0.2492 (multiplicity 1)